An optimized crystal structure of Zr2Te4Cl2O11, computed with PBE.

Output
- calculated volume (Å³/cell) = 687
- E (eV/atom) = -6.36

Lattice parameters (Å, degrees): 7.9330 9.7067 10.5479 111.65 108.31 97.78
With the nearest neighbours (Å) after each atom.
Atoms (fractional coordinates):
Zr: 0.6245 0.8898 0.8913  6 O 2.06-2.25
Zr: 0.3755 0.1102 0.1087  6 O 2.06-2.25
Zr: 0.8868 0.6112 0.6192  6 O 2.04-2.25
Zr: 0.1132 0.3888 0.3808  6 O 2.04-2.25
Te: 0.2619 0.5101 0.7942  3 O 1.85-1.97
Te: 0.7381 0.4899 0.2058  3 O 1.85-1.97
Te: 0.9927 0.7385 0.9999  2 O 1.87-1.96
Te: 0.0073 0.2615 0.0001  2 O 1.87-1.96
Te: 0.7895 0.9800 0.2645  3 O 1.85-1.97
Te: 0.2105 0.0200 0.7355  3 O 1.85-1.97
Te: 0.4759 0.7606 0.4692  3 O 1.87-1.89
Te: 0.5241 0.2394 0.5308  3 O 1.87-1.89
Cl: 0.1026 0.8805 0.3704  1 Te 2.84, 1 O 3.09
Cl: 0.8974 0.1195 0.6296  1 Te 2.84, 1 O 3.09
Cl: 0.6337 0.3911 0.8929  1 Te 2.87, 1 O 3.12
Cl: 0.3663 0.6089 0.1071  1 Te 2.87, 1 O 3.12
O: 0.5053 0.8579 0.6698  1 Te 1.89, 1 Zr 2.11
O: 0.4947 0.1421 0.3302  1 Te 1.89, 1 Zr 2.11
O: 0.6725 0.6690 0.4884  1 Te 1.89, 1 Zr 2.11
O: 0.3275 0.3310 0.5116  1 Te 1.89, 1 Zr 2.11
O: 0.5906 0.9944 0.1081  1 Te 1.96, 1 Zr 2.17
O: 0.4094 0.0056 0.8919  1 Te 1.96, 1 Zr 2.17
O: 0.8264 0.8665 0.0815  2 Te 1.97-2.10
O: 0.1736 0.1335 0.9185  2 Te 1.97-2.10
O: 0.0726 0.6128 0.8312  2 Te 1.97-2.09
O: 0.9274 0.3872 0.1688  2 Te 1.97-2.09
O: 0.8193 0.7438 0.8237  1 Te 1.96
O: 0.1807 0.2562 0.1763  1 Te 1.96
O: 0.1115 0.4953 0.6008  1 Te 1.95, 1 Zr 2.17
O: 0.8885 0.5047 0.3992  1 Te 1.95, 1 Zr 2.17
O: 0.2878 0.5836 0.4115  1 Te 1.87, 1 Zr 2.04
O: 0.7122 0.4164 0.5885  1 Te 1.87, 1 Zr 2.04
O: 0.4472 0.6796 0.8400  1 Te 1.85
O: 0.5528 0.3204 0.1600  1 Te 1.85
O: 0.1791 0.9164 0.0603  1 Te 1.87, 1 Zr 2.06
O: 0.8209 0.0836 0.9397  1 Te 1.87, 1 Zr 2.06
O: 0.9380 0.1755 0.3261  1 Te 1.85
O: 0.0620 0.8245 0.6739  1 Te 1.85